# 1
Below is a relaxed structure of Cs4Na2ScGaF12, with properties calculated at the PBE level.

MP2020-corrected energy in eV/atom: -5.244
Mass density in g/cm3: 4.09
Total DFT energy (no corrections) in eV/atom: -4.97

Cell: 11.074 11.074 11.074 Å, 33.74 33.74 33.74°
Sites, in units of the cell vectors:
Cs1 0.720 0.720 0.720
Cs2 0.280 0.280 0.280
Cs3 0.871 0.871 0.871
Cs4 0.129 0.129 0.129
Na1 0.596 0.596 0.596
Na2 0.404 0.404 0.404
Sc1 0.000 0.000 0.000
Ga1 0.500 0.500 0.500
F1 0.398 0.816 0.398
F2 0.398 0.398 0.816
F3 0.816 0.398 0.398
F4 0.602 0.184 0.602
F5 0.602 0.602 0.184
F6 0.184 0.602 0.602
F7 0.188 0.735 0.188
F8 0.188 0.188 0.735
F9 0.735 0.188 0.188
F10 0.812 0.265 0.812
F11 0.812 0.812 0.265
F12 0.265 0.812 0.812



# 2
Below is a relaxed structure of Zn6S5Cl2, with properties calculated at the PBE level.

MP2020-corrected energy in eV/atom: -3.360
Mass density in g/cm3: 3.18
Total DFT energy (no corrections) in eV/atom: -3.07

Cell: 8.520 7.740 10.747 Å, 90.49 66.65 90.00°
Sites, in units of the cell vectors:
Zn1 0.815 0.998 0.998
Zn2 0.264 0.977 0.049
Zn3 0.813 0.502 0.002
Zn4 0.312 0.523 0.951
Zn5 0.485 0.758 0.322
Zn6 0.196 0.172 0.369
Zn7 0.565 0.328 0.631
Zn8 0.808 0.742 0.678
Zn9 0.800 0.992 0.349
Zn10 0.751 0.497 0.370
Zn11 0.121 0.003 0.630
Zn12 0.149 0.508 0.651
S1 0.229 0.754 0.510
S2 0.277 0.248 0.531
S3 0.808 0.252 0.469
S4 0.739 0.746 0.490
S5 0.633 0.005 0.221
S6 0.103 0.975 0.269
S7 0.617 0.500 0.222
S8 0.839 0.000 0.778
S9 0.372 0.525 0.731
S10 0.854 0.495 0.779
Cl1 0.989 0.250 0.000
Cl2 0.067 0.750 0.000
Cl3 0.464 0.750 0.000
Cl4 0.406 0.250 0.000



# 3
Below is a relaxed structure of Fe2CuRh3S8, with properties calculated at the PBE level.

MP2020-corrected energy in eV/atom: -6.134
Mass density in g/cm3: 5.47
Total DFT energy (no corrections) in eV/atom: -5.85

Cell: 6.808 6.808 6.808 Å, 60.30 60.30 60.30°
Sites, in units of the cell vectors:
Fe1 0.382 0.382 0.382
Fe2 0.751 0.751 0.751
Cu1 0.000 0.000 0.000
Rh1 0.380 0.380 0.863
Rh2 0.863 0.380 0.380
Rh3 0.380 0.863 0.380
S1 0.134 0.134 0.134
S2 0.141 0.141 0.593
S3 0.593 0.141 0.141
S4 0.141 0.593 0.141
S5 0.625 0.625 0.625
S6 0.616 0.616 0.128
S7 0.128 0.616 0.616
S8 0.616 0.128 0.616



# 4
Below is a relaxed structure of NdIn2Ni, with properties calculated at the PBE level.

Mass density in g/cm3: 8.02
Total DFT energy (no corrections) in eV/atom: -4.43

Cell: 9.518 9.518 21.857 Å, 90.00 90.00 153.11°
Sites, in units of the cell vectors:
Nd1 0.531 0.469 0.250
Nd2 0.469 0.531 0.750
Nd3 0.771 0.229 0.128
Nd4 0.229 0.771 0.872
Nd5 0.229 0.771 0.628
Nd6 0.771 0.229 0.372
Nd7 0.563 0.437 0.080
Nd8 0.437 0.563 0.920
Nd9 0.437 0.563 0.580
Nd10 0.563 0.437 0.420
In1 0.275 0.725 0.250
In2 0.725 0.275 0.750
In3 0.933 0.067 0.043
In4 0.067 0.933 0.957
In5 0.067 0.933 0.543
In6 0.933 0.067 0.457
In7 0.864 0.136 0.675
In8 0.136 0.864 0.325
In9 0.136 0.864 0.175
In10 0.864 0.136 0.825
In11 0.891 0.109 0.250
In12 0.109 0.891 0.750
In13 0.800 0.200 0.534
In14 0.200 0.800 0.466
In15 0.200 0.800 0.034
In16 0.800 0.200 0.966
In17 0.401 0.599 0.144
In18 0.599 0.401 0.856
In19 0.599 0.401 0.644
In20 0.401 0.599 0.356
Ni1 0.656 0.344 0.532
Ni2 0.344 0.656 0.468
Ni3 0.344 0.656 0.032
Ni4 0.656 0.344 0.968
Ni5 0.684 0.316 0.250
Ni6 0.316 0.684 0.750
Ni7 0.986 0.014 0.158
Ni8 0.014 0.986 0.842
Ni9 0.014 0.986 0.658
Ni10 0.986 0.014 0.342



# 5
Below is a relaxed structure of Be13Re, with properties calculated at the PBE level.

Mass density in g/cm3: 3.26
Total DFT energy (no corrections) in eV/atom: -3.60

Cell: 9.566 9.566 9.566 Å, 60.00 60.00 60.00°
Sites, in units of the cell vectors:
Be1 0.500 0.500 0.500
Be2 0.750 0.750 0.750
Be3 0.737 0.505 0.505
Be4 0.505 0.737 0.252
Be5 0.505 0.252 0.737
Be6 0.505 0.737 0.505
Be7 0.513 0.745 0.998
Be8 0.513 0.745 0.745
Be9 0.252 0.505 0.505
Be10 0.252 0.505 0.737
Be11 0.745 0.513 0.745
Be12 0.745 0.513 0.998
Be13 0.737 0.505 0.252
Be14 0.745 0.998 0.745
Be15 0.745 0.998 0.513
Be16 0.505 0.252 0.505
Be17 0.998 0.745 0.513
Be18 0.998 0.745 0.745
Be19 0.505 0.505 0.737
Be20 0.252 0.737 0.505
Be21 0.505 0.505 0.252
Be22 0.737 0.252 0.505
Be23 0.998 0.513 0.745
Be24 0.745 0.745 0.513
Be25 0.513 0.998 0.745
Be26 0.745 0.745 0.998
Be27 0.000 0.000 0.000
Be28 0.250 0.250 0.250
Be29 0.249 0.249 0.858
Be30 0.249 0.249 0.644
Be31 0.858 0.644 0.249
Be32 0.858 0.249 0.249
Be33 0.001 0.001 0.606
Be34 0.001 0.001 0.392
Be35 0.644 0.858 0.249
Be36 0.644 0.249 0.249
Be37 0.249 0.858 0.644
Be38 0.392 0.606 0.001
Be39 0.249 0.644 0.858
Be40 0.606 0.392 0.001
Be41 0.249 0.858 0.249
Be42 0.392 0.001 0.606
Be43 0.392 0.001 0.001
Be44 0.644 0.249 0.858
Be45 0.001 0.392 0.001
Be46 0.001 0.392 0.606
Be47 0.858 0.249 0.644
Be48 0.001 0.606 0.001
Be49 0.001 0.606 0.392
Be50 0.249 0.644 0.249
Be51 0.606 0.001 0.392
Be52 0.606 0.001 0.001
Re1 0.125 0.125 0.125
Re2 0.125 0.125 0.625
Re3 0.125 0.625 0.125
Re4 0.625 0.125 0.125



# 6
Below is a relaxed structure of Pm2CdIn, with properties calculated at the PBE level.

Mass density in g/cm3: 7.50
Total DFT energy (no corrections) in eV/atom: -3.71

Cell: 5.451 5.451 5.451 Å, 60.00 60.00 60.00°
Sites, in units of the cell vectors:
Pm1 0.750 0.750 0.750
Pm2 0.250 0.250 0.250
Cd1 0.500 0.500 0.500
In1 0.000 0.000 0.000